A plane-wave DFT calculation with GGA-PBE was carried out for a relaxed Ca2Mg5Si8H2O24 crystal.

a b c (Å): 10.4221 10.4221 5.3504
angles (deg): 83.11 83.11 122.47
Sites, in units of the cell vectors:
Si 0.3613 0.1929 0.7058
Si 0.8836 0.5419 0.8023
Si 0.1929 0.3613 0.7058
Si 0.8071 0.6387 0.2942
Si 0.5419 0.8836 0.8023
Si 0.4581 0.1164 0.1977
Si 0.6387 0.8071 0.2942
Si 0.1164 0.4581 0.1977
O 0.5402 0.7778 0.5843
O 0.7898 0.5240 0.0948
O 0.2102 0.4760 0.9052
O 0.3325 0.3325 0.7089
O 0.1210 0.6141 0.2058
O 0.1970 0.0233 0.7834
O 0.5240 0.7898 0.0948
O 0.3859 0.8790 0.7942
O 0.4598 0.2222 0.4157
O 0.8943 0.8943 0.7142
O 0.9468 0.2911 0.2768
O 0.6141 0.1210 0.2058
O 0.4760 0.2102 0.9052
O 0.8790 0.3859 0.7942
O 0.0532 0.7089 0.7232
O 0.2222 0.4598 0.4157
O 0.0233 0.1970 0.7834
O 0.7089 0.0532 0.7232
O 0.9767 0.8030 0.2166
O 0.7778 0.5402 0.5843
O 0.2911 0.9468 0.2768
O 0.8030 0.9767 0.2166
O 0.6675 0.6675 0.2911
O 0.1057 0.1057 0.2858
Mg 0.0000 0.0000 0.0000
Mg 0.9119 0.0881 0.5000
Mg 0.1774 0.8226 0.0000
Mg 0.0881 0.9119 0.5000
Mg 0.8226 0.1774 0.0000
H 0.7944 0.7944 0.7700
H 0.2056 0.2056 0.2300
Ca 0.2778 0.7222 0.5000
Ca 0.7222 0.2778 0.5000

Summary:
The value obtained for the final energy is -7.173 eV per atom. For the corrected total energy (MP2020 scheme), the calculation gives -7.57 eV per atom.